The following is a DFT calculation (GGA-PBE) of LiCuPO4 after structural relaxation.

abc: 10.833 6.230 5.197
angles: 90.00 90.00 90.00
Sites, in units of the cell vectors:
Li  0.167  0.010  0.000
Li  0.333  0.510  0.500
Li  0.667  0.490  0.000
Li  0.833  0.990  0.500
Cu  0.087  0.271  0.493
Cu  0.413  0.771  0.993
Cu  0.587  0.229  0.493
Cu  0.913  0.729  0.993
P  0.170  0.506  0.999
P  0.330  0.006  0.499
P  0.670  0.994  0.999
P  0.830  0.494  0.499
O  0.088  0.705  0.939
O  0.116  0.298  0.880
O  0.181  0.482  0.294
O  0.199  0.046  0.385
O  0.301  0.546  0.885
O  0.319  0.982  0.794
O  0.384  0.798  0.380
O  0.412  0.205  0.439
O  0.588  0.795  0.939
O  0.616  0.202  0.880
O  0.681  0.018  0.294
O  0.699  0.454  0.385
O  0.801  0.954  0.885
O  0.819  0.518  0.794
O  0.884  0.702  0.380
O  0.912  0.295  0.439

ΔE to the lowest computed polymorph	0.033	eV/atom
total DFT energy (no corrections)	-6.230	eV per atom
density	3.13	Mg/m³
ΔE_f	-15.15	eV/f.u.